The following is a DFT calculation (PBE-GGA) of ZrH8PbC6O16 after structural relaxation.

The structure in extended XYZ format:
```
128
Lattice="-4.754 -5.232 -13.092 9.169 0.013 -3.335 3.739 -9.232 2.331" Properties=species:S:1:pos:R:3 pbc="T T T"
O -2.110 -4.817 -10.090
O 3.775 -7.111 -14.922
O 2.353 -3.563 -1.568
O 6.227 -2.818 -3.971
O 5.418 -12.986 -11.796
O 1.760 -7.441 -9.799
O 6.876 -9.628 -6.587
O 6.609 -7.303 -9.153
O 4.696 -4.751 -2.706
O 3.457 -9.699 -11.390
O 7.822 -5.278 -1.948
O 8.067 -8.472 -4.607
O 3.952 -7.961 -1.645
O 4.339 -12.539 -7.522
O 1.901 -13.588 -11.670
O 2.958 -6.339 -7.507
O 6.244 -6.646 -1.108
O 4.726 -10.666 -8.725
O 4.378 -7.339 0.826
O 5.624 -9.701 -2.492
O 2.701 -5.818 0.833
O 5.800 -10.887 -12.528
O 5.195 -8.111 -6.589
O 1.544 -7.148 -4.943
O 2.118 -6.677 -1.779
O -0.380 -8.883 -7.665
O 6.252 -0.862 -2.426
O 7.813 -8.703 -1.134
O 1.910 -7.804 -12.988
O -1.286 -6.862 -11.860
O 0.340 -5.747 -12.962
O 3.513 -9.072 -4.265
O -1.139 -6.121 -7.091
O 2.147 -11.547 -6.511
O 5.762 -4.849 -6.472
O 4.201 -6.489 -12.451
O 10.264 -9.633 -4.006
O 8.534 -5.567 -6.430
O 8.582 -11.274 -7.566
O -0.652 -11.545 -9.242
O 4.640 -5.378 -9.831
O -0.428 -3.176 -6.530
O 9.440 -7.589 -2.236
O 3.814 -1.911 -6.574
O 5.453 -8.633 -14.929
O 0.200 -0.850 -2.235
O 1.850 -10.227 -3.265
O 8.805 -2.905 -4.853
O 6.393 -7.010 -4.297
O 2.391 -9.601 -7.624
O 6.036 -7.774 -12.316
O 3.427 -3.785 -5.371
O 2.736 -1.464 -2.300
O 2.530 -4.749 -11.604
O 6.007 -2.903 -7.585
O 6.304 -4.223 -10.831
O 0.087 -5.978 -9.489
O 0.860 -3.686 -4.458
O 9.292 -8.329 -7.005
O 0.332 -9.173 -12.148
O 7.294 -10.764 -9.638
O 7.954 -13.600 -11.861
O 1.278 -4.822 -7.508
O 1.927 -11.632 -10.125
H -3.028 -4.508 -10.272
H 1.810 -3.806 -4.709
H -0.461 -7.961 -7.328
H 5.878 -3.620 -3.501
H 11.182 -9.942 -3.824
H 8.615 -6.489 -6.767
H 9.189 -11.992 -7.885
H -1.035 -2.458 -6.211
H 2.725 -14.067 -11.391
H 6.321 -10.253 -2.917
H 7.656 -9.948 -10.073
H 3.294 -4.848 -10.974
H 7.151 -2.967 -4.293
H 1.837 -12.727 -11.050
H 9.988 -8.997 -3.292
H 1.833 -4.197 -11.179
H 6.317 -1.723 -3.046
H 2.276 -10.830 -10.595
H 3.939 -4.275 -2.279
H 0.498 -4.502 -4.023
H -1.834 -5.453 -10.804
H 6.344 -10.644 -9.387
H 5.428 -0.383 -2.704
H 1.003 -11.483 -9.803
H 0.165 -3.454 -5.694
H 4.860 -9.602 -3.122
H 4.215 -10.175 -11.817
H 5.158 -5.255 -1.996
H 7.989 -10.996 -8.402
H 7.584 -5.302 -6.533
H 0.570 -9.148 -7.563
H 2.996 -9.195 -12.100
Zr 2.499 -5.766 -13.638
Zr 8.916 -10.133 -5.768
Zr 5.654 -8.684 -0.458
Zr -0.762 -4.317 -8.328
C 1.272 -8.125 -4.232
C 7.685 -12.392 -12.228
C 5.391 -3.694 -6.785
C 5.829 -5.237 -10.180
C 0.469 -2.058 -1.868
C 1.221 -6.498 -9.187
C 2.325 -9.213 -3.916
C 1.974 -2.416 -1.903
C 6.261 -8.608 -6.136
C 3.103 -7.129 -1.164
C 1.893 -5.842 -7.960
C 8.330 -7.643 -1.672
C 6.933 -7.952 -4.908
C 3.405 -6.712 0.293
C 4.060 -11.342 -7.917
C 2.763 -10.756 -7.311
C -0.176 -6.807 -12.424
C 5.051 -7.321 -12.932
C 7.425 -6.392 -1.580
C 6.180 -12.034 -12.193
C 0.728 -8.058 -12.516
C 4.748 -7.738 -14.389
C 6.882 -6.325 -9.864
C 4.094 -3.108 -6.179
Pb 9.713 -5.162 -3.800
Pb 4.089 -8.111 -9.034
Pb -1.559 -9.288 -10.296
Pb 4.065 -6.339 -5.062
```

## Properties
Space-group type: P2_1/c, No. 14
Crystal system: monoclinic
Energy relative to the elements, eV per atom: -1.66
Corrected total energy (MP2020 scheme), eV/atom: -7.095


The following is a DFT calculation (PBE-GGA) of H26Pd4PtC22O16 after structural relaxation.

The structure in extended XYZ format:
```
69
Lattice="0.479 8.116 -6.268 -4.207 -8.446 -3.837 -7.663 1.055 7.734" Properties=species:S:1:pos:R:3 pbc="T T T"
C -2.612 0.395 1.214
C -7.010 -0.189 5.188
C -5.175 8.249 -0.903
C -6.216 -7.523 -1.468
C -6.911 -3.478 -1.436
C -3.597 -1.971 -2.348
C -3.025 4.338 -1.327
C -10.091 -4.406 2.129
C -7.409 3.424 1.245
C -3.934 1.607 -6.305
C -8.779 0.331 -3.584
C -7.282 0.460 -3.531
C -1.300 5.131 -4.500
C -7.794 2.697 -0.022
C -7.456 -0.882 3.934
C -4.480 4.204 -0.934
C -4.109 0.265 1.161
C -10.716 -1.299 0.582
C -4.381 0.915 -7.559
C -0.675 2.024 -2.953
C -3.982 -2.699 -3.616
C -8.366 -3.612 -1.044
O -9.075 -4.191 2.683
O -7.967 0.051 6.026
O -3.424 0.674 -8.396
O -8.689 -4.657 -0.380
O -2.316 4.916 -5.054
O -3.888 -3.973 -3.602
O -9.390 0.747 -2.525
O -7.503 4.698 1.232
O -9.141 -2.668 -1.410
O -4.366 -1.973 -4.598
O -2.250 3.393 -0.960
O -2.001 -0.021 0.155
O -1.644 1.502 -3.363
O -9.747 -0.777 0.992
O -7.025 2.698 2.228
O -2.701 5.382 -1.990
H -8.083 -0.200 3.341
H -4.394 -0.741 1.505
H -6.782 -2.646 -2.134
H -3.565 -2.654 -1.494
H -4.591 1.006 1.809
H -8.068 -1.759 4.187
H -6.594 -1.188 3.336
H -4.502 7.969 -1.712
H -6.930 0.346 -2.499
H -4.609 3.371 -0.237
H -6.997 1.466 -3.875
H -3.323 2.485 -6.557
H -4.296 -1.150 -2.158
H -6.800 -0.280 -4.180
H -8.793 2.250 0.082
H -4.461 0.379 0.128
H -6.301 -3.290 -0.541
H -2.597 -1.525 -2.452
H -4.841 5.132 -0.476
H -6.550 -4.406 -1.895
H -6.889 -7.244 -0.659
H -4.797 1.913 -5.706
H -5.090 4.015 -1.830
H -7.826 3.379 -0.876
H -3.308 0.926 -5.712
H -7.094 1.875 -0.213
Pd -4.914 -2.709 -6.530
Pd -6.476 3.434 4.159
Pd -7.019 6.005 2.862
Pd -4.372 -5.279 -5.233
Pt 0.000 0.000 0.000
```

## Properties
Space-group type: P-1, No. 2
Crystal system: triclinic
Energy relative to the elements, eV per atom: -0.63
Corrected total energy (MP2020 scheme), eV/atom: -6.383


The following is a DFT calculation (PBE-GGA) of H6PdC2S2O6 after structural relaxation.

The structure in extended XYZ format:
```
34
Lattice="4.935 0.000 0.000 0.000 11.418 0.000 -3.121 0.000 7.443" Properties=species:S:1:pos:R:3 pbc="T T T"
O 2.138 0.543 2.405
O -0.324 10.874 5.038
O 1.786 4.600 3.093
O 1.236 6.252 1.317
O 2.316 6.692 5.179
O 0.578 5.165 6.127
O 0.225 1.109 6.815
O 1.589 10.309 0.629
O 0.028 6.818 4.351
O -2.062 0.983 5.986
O 3.876 10.435 1.457
O -0.502 4.726 2.265
Pd -1.561 5.709 3.722
Pd 0.000 0.000 0.000
H 2.257 3.839 0.333
H 2.228 8.409 2.542
H -1.053 1.912 3.608
H 0.696 1.869 4.055
H 1.147 2.700 1.180
H -0.443 7.578 7.110
H 2.867 9.505 3.836
H -0.414 3.009 4.902
H 0.667 8.717 6.263
H -2.614 3.796 7.330
H 4.428 7.621 0.114
H 1.118 9.548 3.388
S 0.941 4.954 1.886
S -0.620 0.755 5.608
S 0.873 6.463 5.557
S 2.434 10.663 1.836
C 0.578 7.741 6.748
C 2.139 9.385 3.026
C -0.325 2.032 4.417
C 1.236 3.677 0.695
```

## Properties
Space-group type: P2_1/c, No. 14
Crystal system: monoclinic
Energy relative to the elements, eV per atom: -0.89
Corrected total energy (MP2020 scheme), eV/atom: -5.708


The following is a DFT calculation (PBE-GGA) of RbHCO3 after structural relaxation.

The structure in extended XYZ format:
```
24
Lattice="3.435 4.669 0.000 -3.435 4.669 0.000 0.000 3.298 10.805" Properties=species:S:1:pos:R:3 pbc="T T T"
H -0.717 6.579 7.015
H -0.717 7.705 9.193
H 0.717 4.930 1.613
H 0.717 6.056 3.790
O -0.094 7.303 7.385
O -1.681 8.793 9.873
O 0.216 2.123 0.942
O 0.216 8.864 4.461
O -0.216 10.513 9.864
O 0.094 5.654 1.982
O 1.681 7.144 4.470
O 1.681 3.843 0.933
O -1.681 5.492 6.335
O -0.216 3.772 6.344
O 0.094 5.333 3.420
O -0.094 6.982 8.823
C 1.264 8.285 4.864
C 1.264 2.702 0.539
C -1.264 9.934 10.266
C -1.264 4.351 5.942
Rb -2.305 3.814 1.464
Rb -2.305 7.173 3.939
Rb 2.305 5.463 6.866
Rb 2.305 8.822 9.342
```

## Properties
Space-group type: C2/c, No. 15
Crystal system: monoclinic
Energy relative to the elements, eV per atom: -1.32
Corrected total energy (MP2020 scheme), eV/atom: -6.060


The following is a DFT calculation (PBE-GGA) of RbHCO2 after structural relaxation.

The structure in extended XYZ format:
```
20
Lattice="4.726 0.000 0.000 0.000 7.509 0.000 0.000 0.000 9.387" Properties=species:S:1:pos:R:3 pbc="T T T"
H 2.656 5.631 4.956
H 2.070 1.877 4.431
H 2.656 1.877 9.125
H 2.070 5.631 0.263
O 4.094 5.631 0.006
O 0.632 1.877 9.381
O 4.094 1.877 4.688
O 2.606 5.631 7.683
O 2.120 5.631 2.989
O 0.632 5.631 4.699
O 2.606 1.877 6.398
O 2.120 1.877 1.704
Rb 4.436 0.000 2.347
Rb 0.290 3.754 7.040
Rb 0.290 0.000 7.040
Rb 4.436 3.754 2.347
C 1.812 1.877 0.470
C 2.914 1.877 5.164
C 2.914 5.631 8.917
C 1.812 5.631 4.223
```

## Properties
Space-group type: Pbcm, No. 57
Crystal system: orthorhombic
Energy relative to the elements, eV per atom: -1.56
Corrected total energy (MP2020 scheme), eV/atom: -6.263


The following is a DFT calculation (PBE-GGA) of RbH3C2O4 after structural relaxation.

The structure in extended XYZ format:
```
80
Lattice="-2.982 -6.345 3.539 5.441 0.681 5.804 -11.388 10.612 9.431" Properties=species:S:1:pos:R:3 pbc="T T T"
O -0.565 0.630 10.484
O 0.720 2.547 5.260
O -6.435 4.745 11.710
O -10.760 4.348 13.683
O -2.412 -5.490 5.290
O -4.278 3.418 4.995
O -1.562 1.371 2.259
O -8.081 1.368 11.952
O -10.144 5.325 9.627
O -4.073 -1.067 11.820
O -2.989 3.128 3.177
O -4.421 0.414 8.202
O -8.366 7.221 14.872
O -6.705 2.798 8.342
O -2.494 0.204 7.064
O 1.214 -0.377 9.147
O -9.649 2.401 13.514
O -0.564 -2.273 3.902
O 1.831 0.601 5.091
O -0.848 3.581 6.822
O -1.279 -1.580 5.921
O -7.367 3.577 16.515
O -2.224 2.150 10.432
O -6.517 10.438 13.484
O -10.617 7.351 10.476
O -5.941 1.820 15.597
O -4.652 1.530 13.779
O -4.856 6.015 6.954
O -8.365 4.318 8.290
O -7.650 6.528 12.853
O -4.508 4.534 10.572
O 1.687 -2.403 8.298
C -5.639 9.637 13.089
C -7.686 3.380 8.860
C 1.091 1.381 5.711
C -7.819 6.378 14.124
C -3.628 -0.254 7.519
C -5.463 2.196 14.443
C -1.111 -1.430 4.650
C -9.859 6.573 9.875
C -3.467 2.753 4.331
C -3.290 -4.689 5.685
C -1.243 1.569 9.914
C -5.302 5.202 11.255
C 0.930 -1.625 8.899
C -5.507 6.638 7.825
C -3.423 -1.690 10.949
C -10.020 3.567 13.063
Rb -1.679 4.973 11.328
Rb -12.764 5.667 11.946
Rb -7.251 -0.025 7.446
Rb -3.679 3.408 7.896
Rb -9.192 9.099 12.396
Rb 3.834 -0.719 6.828
Rb -5.250 1.540 10.879
Rb 0.263 -4.151 6.378
H -2.423 -1.308 10.643
H -5.834 3.173 14.066
H -2.993 -3.652 5.961
H -6.506 6.256 8.131
H 0.378 0.118 9.753
H -7.007 5.562 12.272
H 0.003 3.057 5.994
H -9.307 4.830 9.021
H -7.446 5.426 14.563
H 0.703 1.111 6.717
H -1.483 -0.477 4.211
H -3.095 1.775 4.708
H -8.866 6.919 9.515
H -9.632 3.837 12.057
H -8.932 1.891 12.781
H -3.862 -1.306 7.250
H -5.936 8.600 12.813
H -1.922 -0.614 6.503
H -6.633 2.623 16.031
H -0.064 -1.971 9.259
H -0.913 1.867 8.894
H -2.296 2.325 2.743
H -8.016 3.081 9.880
H -5.068 6.255 11.524
```

## Properties
Space-group type: Pbca, No. 61
Crystal system: orthorhombic
Energy relative to the elements, eV per atom: -1.39
Corrected total energy (MP2020 scheme), eV/atom: -6.332


- Which value of corrected total energy (MP2020 scheme) does entry 3 give?
  -5.708 eV/atom


- Which formula does entry 1 have?
  ZrH8PbC6O16


- Among the records above, which one has the lowest energy relative to the elements?
  ZrH8PbC6O16